First-principles (PBE) data for a geometry-optimized Al23O17F35 structure, as listed in Materials Project.

a b c (Å): 4.649 2.912 59.389
angles (deg): 90.00 91.63 90.00
Atoms (fractional coordinates):
Al 0.000 0.000 0.000
Al 0.003 0.000 0.462
Al 0.064 0.500 0.271
Al 0.151 0.500 0.713
Al 0.157 0.500 0.806
Al 0.184 0.000 0.539
Al 0.188 0.000 0.082
Al 0.231 0.500 0.347
Al 0.275 0.000 0.620
Al 0.366 0.500 0.892
Al 0.398 0.500 0.423
Al 0.497 0.000 0.235
Al 0.531 0.000 0.769
Al 0.568 0.500 0.499
Al 0.607 0.500 0.944
Al 0.616 0.500 0.036
Al 0.667 0.000 0.311
Al 0.730 0.000 0.852
Al 0.766 0.500 0.575
Al 0.814 0.500 0.122
Al 0.834 0.000 0.386
Al 0.921 0.500 0.661
Al 0.980 0.500 0.178
O 0.045 0.000 0.643
O 0.094 0.000 0.365
O 0.153 0.000 0.185
O 0.258 0.000 0.259
O 0.262 0.000 0.441
O 0.286 0.000 0.724
O 0.337 0.000 0.796
O 0.424 0.000 0.335
O 0.435 0.000 0.517
O 0.490 0.000 0.873
O 0.590 0.000 0.410
O 0.742 0.000 0.954
O 0.761 0.000 0.486
O 0.796 0.000 0.027
O 0.928 0.000 0.289
O 0.934 0.000 0.563
O 0.949 0.000 0.104
F 0.008 0.500 0.066
F 0.015 0.000 0.827
F 0.064 0.500 0.403
F 0.065 0.500 0.144
F 0.079 0.500 0.603
F 0.139 0.000 0.899
F 0.207 0.500 0.681
F 0.234 0.500 0.479
F 0.250 0.500 0.936
F 0.273 0.500 0.024
F 0.315 0.000 0.988
F 0.322 0.500 0.223
F 0.353 0.500 0.761
F 0.410 0.500 0.091
F 0.411 0.500 0.556
F 0.473 0.000 0.058
F 0.473 0.500 0.299
F 0.498 0.500 0.628
F 0.550 0.500 0.835
F 0.563 0.000 0.593
F 0.580 0.000 0.129
F 0.634 0.500 0.169
F 0.639 0.500 0.375
F 0.658 0.500 0.911
F 0.691 0.000 0.668
F 0.736 0.500 0.252
F 0.763 0.000 0.215
F 0.795 0.500 0.706
F 0.807 0.500 0.451
F 0.817 0.500 0.793
F 0.826 0.500 0.991
F 0.844 0.000 0.757
F 0.898 0.500 0.327
F 0.950 0.500 0.861
F 0.983 0.500 0.528

Uncorrected energy (eV per atom): -6.2170
Energy of formation from the pure elements (eV/atom): -3.42
Density (g/cm3): 3.2


First-principles (PBE) data for a geometry-optimized Li6Zr2O7 structure, as listed in Materials Project.

a b c (Å): 6.087 6.087 10.328
angles (deg): 98.94 98.94 59.71
Atoms (fractional coordinates):
Li 0.079 0.334 0.895
Li 0.084 0.795 0.914
Li 0.205 0.916 0.586
Li 0.332 0.532 0.398
Li 0.334 0.079 0.395
Li 0.468 0.668 0.102
Li 0.532 0.332 0.898
Li 0.666 0.921 0.605
Li 0.668 0.468 0.602
Li 0.795 0.084 0.414
Li 0.916 0.205 0.086
Li 0.921 0.666 0.105
Zr 0.196 0.437 0.635
Zr 0.437 0.196 0.135
Zr 0.563 0.804 0.865
Zr 0.804 0.563 0.365
O 0.001 0.264 0.503
O 0.142 0.365 0.257
O 0.256 0.502 0.023
O 0.264 0.001 0.003
O 0.341 0.659 0.750
O 0.365 0.142 0.757
O 0.498 0.744 0.477
O 0.502 0.256 0.523
O 0.635 0.858 0.243
O 0.659 0.341 0.250
O 0.736 0.999 0.997
O 0.744 0.498 0.977
O 0.858 0.635 0.743
O 0.999 0.736 0.497

Uncorrected energy (eV per atom): -6.7571
Energy of formation from the pure elements (eV/atom): -2.87
Density (g/cm3): 3.4


First-principles (PBE) data for a geometry-optimized Na10Mg4Si5Ge4S7O48 structure, as listed in Materials Project.

a b c (Å): 8.790 15.353 21.983
angles (deg): 90.78 90.55 90.18
Atoms (fractional coordinates):
Na 0.000 0.000 0.000
Na 0.000 0.336 0.333
Na 0.002 0.669 0.669
Na 0.035 0.682 0.015
Na 0.059 0.989 0.669
Na 0.061 0.324 0.014
Na 0.171 0.485 0.170
Na 0.171 0.828 0.513
Na 0.195 0.183 0.516
Na 0.229 0.501 0.502
Na 0.232 0.837 0.835
Na 0.357 0.330 0.092
Na 0.357 0.999 0.257
Na 0.361 0.657 0.422
Na 0.374 0.003 0.757
Na 0.379 0.653 0.921
Na 0.392 0.326 0.593
Na 0.497 0.837 0.335
Na 0.500 0.500 0.000
Na 0.535 0.183 0.014
Na 0.561 0.824 0.015
Na 0.672 0.985 0.171
Na 0.729 0.001 0.500
Na 0.733 0.337 0.834
Na 0.842 0.159 0.422
Na 0.853 0.490 0.756
Na 0.857 0.500 0.255
Na 0.858 0.829 0.092
Na 0.860 0.830 0.587
Na 0.879 0.156 0.920
Mg 0.361 0.341 0.945
Mg 0.361 0.667 0.280
Mg 0.366 0.002 0.113
Mg 0.366 0.004 0.613
Mg 0.372 0.666 0.780
Mg 0.374 0.338 0.446
Mg 0.860 0.499 0.614
Mg 0.861 0.167 0.280
Mg 0.862 0.841 0.946
Mg 0.866 0.502 0.113
Mg 0.867 0.838 0.447
Mg 0.871 0.170 0.779
Si 0.006 0.313 0.182
Si 0.010 0.649 0.516
Si 0.021 0.988 0.848
Si 0.076 0.006 0.513
Si 0.153 0.505 0.013
Si 0.219 0.150 0.014
Si 0.220 0.484 0.347
Si 0.221 0.817 0.684
Si 0.506 0.813 0.182
Si 0.512 0.153 0.514
Si 0.519 0.485 0.848
Si 0.653 0.005 0.013
Si 0.710 0.985 0.348
Si 0.719 0.649 0.013
Si 0.723 0.314 0.681
Ge 0.343 0.333 0.243
Ge 0.350 0.673 0.580
Ge 0.354 0.020 0.911
Ge 0.374 0.019 0.411
Ge 0.381 0.665 0.075
Ge 0.394 0.337 0.742
Ge 0.840 0.832 0.246
Ge 0.850 0.170 0.573
Ge 0.854 0.516 0.911
Ge 0.881 0.165 0.075
Ge 0.883 0.844 0.745
Ge 0.884 0.509 0.408
S 0.004 0.357 0.508
S 0.004 0.688 0.843
S 0.010 0.021 0.177
S 0.070 0.675 0.178
S 0.081 0.339 0.842
S 0.146 0.838 0.342
S 0.161 0.177 0.678
S 0.224 0.855 0.009
S 0.225 0.188 0.344
S 0.227 0.519 0.677
S 0.505 0.189 0.844
S 0.506 0.851 0.512
S 0.510 0.521 0.177
S 0.569 0.176 0.178
S 0.580 0.507 0.509
S 0.582 0.838 0.841
S 0.650 0.340 0.343
S 0.651 0.673 0.676
S 0.721 0.021 0.678
S 0.724 0.355 0.010
S 0.726 0.686 0.345
O 0.000 0.920 0.785
O 0.021 0.486 0.348
O 0.021 0.822 0.683
O 0.027 0.157 0.017
O 0.035 0.527 0.952
O 0.043 0.846 0.286
O 0.057 0.162 0.728
O 0.058 0.485 0.072
O 0.059 0.179 0.338
O 0.059 0.839 0.003
O 0.060 0.513 0.671
O 0.060 0.828 0.397
O 0.074 0.186 0.618
O 0.157 0.686 0.119
O 0.168 0.329 0.898
O 0.171 0.347 0.504
O 0.171 0.680 0.839
O 0.173 0.662 0.229
O 0.173 0.985 0.572
O 0.174 0.012 0.170
O 0.182 0.347 0.787
O 0.195 0.026 0.452
O 0.204 0.322 0.182
O 0.209 0.653 0.518
O 0.219 0.987 0.850
O 0.225 0.086 0.951
O 0.239 0.752 0.620
O 0.241 0.415 0.286
O 0.241 0.918 0.343
O 0.248 0.909 0.063
O 0.249 0.762 0.336
O 0.251 0.260 0.684
O 0.256 0.241 0.398
O 0.257 0.599 0.020
O 0.260 0.577 0.728
O 0.262 0.100 0.675
O 0.268 0.425 0.004
O 0.275 0.438 0.408
O 0.275 0.767 0.742
O 0.284 0.914 0.677
O 0.286 0.579 0.337
O 0.289 0.246 0.004
O 0.294 0.893 0.953
O 0.295 0.431 0.681
O 0.295 0.558 0.618
O 0.296 0.100 0.345
O 0.296 0.103 0.069
O 0.296 0.227 0.288
O 0.299 0.767 0.013
O 0.428 0.762 0.517
O 0.433 0.100 0.846
O 0.433 0.887 0.455
O 0.434 0.433 0.180
O 0.434 0.558 0.119
O 0.435 0.228 0.788
O 0.435 0.247 0.504
O 0.436 0.105 0.569
O 0.444 0.911 0.175
O 0.450 0.579 0.837
O 0.454 0.768 0.242
O 0.463 0.439 0.908
O 0.469 0.099 0.174
O 0.474 0.239 0.899
O 0.474 0.751 0.117
O 0.475 0.575 0.230
O 0.477 0.259 0.184
O 0.478 0.431 0.504
O 0.480 0.906 0.564
O 0.481 0.762 0.835
O 0.482 0.588 0.512
O 0.489 0.918 0.842
O 0.498 0.413 0.788
O 0.502 0.088 0.451
O 0.511 0.986 0.351
O 0.527 0.318 0.682
O 0.528 0.657 0.017
O 0.535 0.027 0.952
O 0.553 0.683 0.618
O 0.554 0.350 0.285
O 0.558 0.663 0.729
O 0.558 0.985 0.072
O 0.559 0.009 0.671
O 0.559 0.339 0.003
O 0.560 0.329 0.396
O 0.560 0.679 0.339
O 0.655 0.187 0.119
O 0.670 0.838 0.505
O 0.671 0.180 0.839
O 0.671 0.828 0.897
O 0.673 0.163 0.229
O 0.673 0.512 0.170
O 0.674 0.498 0.563
O 0.674 0.518 0.451
O 0.685 0.847 0.785
O 0.703 0.155 0.516
O 0.705 0.822 0.182
O 0.717 0.486 0.850
O 0.727 0.585 0.951
O 0.733 0.916 0.285
O 0.747 0.423 0.346
O 0.747 0.754 0.678
O 0.748 0.410 0.063
O 0.753 0.598 0.670
O 0.755 0.266 0.337
O 0.756 0.099 0.020
O 0.757 0.074 0.731
O 0.757 0.247 0.619
O 0.761 0.740 0.398
O 0.768 0.926 0.003
O 0.768 0.936 0.406
O 0.777 0.271 0.742
O 0.778 0.080 0.337
O 0.787 0.410 0.670
O 0.789 0.745 0.003
O 0.794 0.393 0.953
O 0.795 0.596 0.349
O 0.796 0.055 0.620
O 0.796 0.603 0.069
O 0.797 0.722 0.288
O 0.798 0.931 0.682
O 0.799 0.267 0.013
O 0.932 0.600 0.844
O 0.934 0.058 0.119
O 0.934 0.933 0.180
O 0.936 0.393 0.449
O 0.937 0.267 0.512
O 0.938 0.728 0.785
O 0.943 0.411 0.175
O 0.951 0.081 0.836
O 0.952 0.604 0.576
O 0.953 0.268 0.242
O 0.953 0.746 0.505
O 0.960 0.926 0.503
O 0.963 0.938 0.906
O 0.970 0.599 0.174
O 0.971 0.741 0.897
O 0.973 0.100 0.520
O 0.974 0.251 0.117
O 0.974 0.413 0.560
O 0.975 0.075 0.230
O 0.978 0.262 0.837
O 0.978 0.758 0.184
O 0.985 0.419 0.843
O 0.994 0.580 0.455

Uncorrected energy (eV per atom): -6.1398
Energy of formation from the pure elements (eV/atom): -2.31
Density (g/cm3): 2.9


First-principles (PBE) data for a geometry-optimized MgUPb2O6 structure, as listed in Materials Project.

a b c (Å): 5.874 5.845 10.272
angles (deg): 90.00 124.04 90.00
Atoms (fractional coordinates):
Mg 0.000 0.000 0.000
Mg 0.000 0.500 0.500
U 0.500 0.000 0.500
U 0.500 0.500 0.000
Pb 0.218 0.028 0.739
Pb 0.218 0.472 0.239
Pb 0.782 0.528 0.761
Pb 0.782 0.972 0.261
O 0.197 0.019 0.249
O 0.197 0.481 0.749
O 0.213 0.695 0.014
O 0.213 0.805 0.514
O 0.324 0.211 0.022
O 0.324 0.289 0.522
O 0.676 0.711 0.478
O 0.676 0.789 0.978
O 0.787 0.195 0.486
O 0.787 0.305 0.986
O 0.803 0.519 0.251
O 0.803 0.981 0.751

Uncorrected energy (eV per atom): -7.2487
Energy of formation from the pure elements (eV/atom): -2.66
Density (g/cm3): 8.8


What did the first record say?
First-principles (PBE) data for a geometry-optimized Al23O17F35 structure, as listed in Materials Project.

a b c (Å): 4.649 2.912 59.389
angles (deg): 90.00 91.63 90.00
Atoms (fractional coordinates):
Al 0.000 0.000 0.000
Al 0.003 0.000 0.462
Al 0.064 0.500 0.271
Al 0.151 0.500 0.713
Al 0.157 0.500 0.806
Al 0.184 0.000 0.539
Al 0.188 0.000 0.082
Al 0.231 0.500 0.347
Al 0.275 0.000 0.620
Al 0.366 0.500 0.892
Al 0.398 0.500 0.423
Al 0.497 0.000 0.235
Al 0.531 0.000 0.769
Al 0.568 0.500 0.499
Al 0.607 0.500 0.944
Al 0.616 0.500 0.036
Al 0.667 0.000 0.311
Al 0.730 0.000 0.852
Al 0.766 0.500 0.575
Al 0.814 0.500 0.122
Al 0.834 0.000 0.386
Al 0.921 0.500 0.661
Al 0.980 0.500 0.178
O 0.045 0.000 0.643
O 0.094 0.000 0.365
O 0.153 0.000 0.185
O 0.258 0.000 0.259
O 0.262 0.000 0.441
O 0.286 0.000 0.724
O 0.337 0.000 0.796
O 0.424 0.000 0.335
O 0.435 0.000 0.517
O 0.490 0.000 0.873
O 0.590 0.000 0.410
O 0.742 0.000 0.954
O 0.761 0.000 0.486
O 0.796 0.000 0.027
O 0.928 0.000 0.289
O 0.934 0.000 0.563
O 0.949 0.000 0.104
F 0.008 0.500 0.066
F 0.015 0.000 0.827
F 0.064 0.500 0.403
F 0.065 0.500 0.144
F 0.079 0.500 0.603
F 0.139 0.000 0.899
F 0.207 0.500 0.681
F 0.234 0.500 0.479
F 0.250 0.500 0.936
F 0.273 0.500 0.024
F 0.315 0.000 0.988
F 0.322 0.500 0.223
F 0.353 0.500 0.761
F 0.410 0.500 0.091
F 0.411 0.500 0.556
F 0.473 0.000 0.058
F 0.473 0.500 0.299
F 0.498 0.500 0.628
F 0.550 0.500 0.835
F 0.563 0.000 0.593
F 0.580 0.000 0.129
F 0.634 0.500 0.169
F 0.639 0.500 0.375
F 0.658 0.500 0.911
F 0.691 0.000 0.668
F 0.736 0.500 0.252
F 0.763 0.000 0.215
F 0.795 0.500 0.706
F 0.807 0.500 0.451
F 0.817 0.500 0.793
F 0.826 0.500 0.991
F 0.844 0.000 0.757
F 0.898 0.500 0.327
F 0.950 0.500 0.861
F 0.983 0.500 0.528

Uncorrected energy (eV per atom): -6.2170
Energy of formation from the pure elements (eV/atom): -3.42
Density (g/cm3): 3.2